# 1
Here is YbI2 after structural relaxation from the Materials Project database. Energies are from r2SCAN.

Values from the calculation:
Total magnetic moment: 0.00 μB/cell
Calculated total energy: -29.834 eV/atom

a = 4.083 Å, b = 4.083 Å, c = 7.642 Å
α = 90.00°, β = 90.00°, γ = 120.00°
Positions (direct):
I 0.667 0.333 0.246
I 0.333 0.667 0.754
Yb 0.000 0.000 0.000



# 2
Here is LiGaTe2 after structural relaxation from the Materials Project database. Energies are from r2SCAN.

Values from the calculation:
Total magnetic moment: 0.00 μB/cell
Calculated total energy: -16.917 eV/atom

a = 6.357 Å, b = 6.357 Å, c = 7.441 Å
α = 115.29°, β = 115.29°, γ = 90.00°
Positions (direct):
Te 0.625 0.109 0.750
Li 0.500 0.500 0.000
Ga 0.000 0.000 0.000
Te 0.891 0.875 0.250
Li 0.750 0.250 0.500
Te 0.359 0.375 0.250
Te 0.125 0.641 0.750
Ga 0.250 0.750 0.500



# 3
Here is Lu2MgS4 after structural relaxation from the Materials Project database. Energies are from r2SCAN.

Values from the calculation:
Total magnetic moment: 0.00 μB/cell
Calculated total energy: -18.247 eV/atom

a = 7.729 Å, b = 7.729 Å, c = 7.729 Å
α = 60.00°, β = 60.00°, γ = 60.00°
Positions (direct):
S 0.744 0.744 0.744
S 0.744 0.268 0.744
S 0.256 0.256 0.732
Lu 0.000 0.500 0.500
Mg 0.875 0.875 0.875
S 0.256 0.256 0.256
S 0.744 0.744 0.268
S 0.268 0.744 0.744
Lu 0.500 0.500 0.000
Lu 0.500 0.500 0.500
S 0.256 0.732 0.256
S 0.732 0.256 0.256
Mg 0.125 0.125 0.125
Lu 0.500 0.000 0.500